Record 1
Material: Lu2MnGe4O12
Method: DFT, GGA+U
State: relaxed

Values from the calculation:
space group: Cmme (67)
calculated volume: 12.93 A^3/atom
spin magnetization: 5.00 μB per formula unit
ΔH_f (0 K): -259.11 kJ/mol of atoms

```
Lu2MnGe4O12
1.0
-2.469 -4.246 0.833
-6.980 2.785 -6.495
5.104 -4.400 -7.297
Ge Lu O Mn
8 4 24 2
Direct
0.996 0.981 0.248
0.996 0.519 0.252
0.004 0.019 0.752
0.004 0.481 0.748
0.996 0.752 0.019
0.996 0.748 0.481
0.004 0.252 0.519
0.004 0.248 0.981
0.500 0.750 0.750
0.500 0.500 0.000
0.500 0.000 0.500
0.500 0.250 0.250
0.738 0.832 0.932
0.262 0.568 0.668
0.742 0.168 0.436
0.742 0.564 0.832
0.738 0.432 0.332
0.258 0.832 0.564
0.826 0.625 0.125
0.742 0.936 0.668
0.833 0.369 0.631
0.167 0.631 0.369
0.738 0.668 0.568
0.174 0.375 0.875
0.833 0.131 0.869
0.258 0.436 0.168
0.262 0.168 0.068
0.167 0.869 0.131
0.258 0.064 0.332
0.742 0.332 0.064
0.262 0.932 0.832
0.258 0.668 0.936
0.174 0.125 0.625
0.262 0.332 0.432
0.826 0.875 0.375
0.738 0.068 0.168
0.500 0.500 0.500
0.500 0.000 0.000
```

Record 2
Material: Na5Ni2PC4O16
Method: DFT, GGA+U
State: relaxed

Values from the calculation:
space group: Fdd2 (43)
calculated volume: 12.17 A^3/atom
spin magnetization: 4.00 μB per formula unit
ΔH_f (0 K): -184.10 kJ/mol of atoms
energy above the most stable polymorph in this dataset: 0.017 eV/atom

```
Na5Ni2PC4O16
1.0
0.000 6.954 6.949
7.051 0.000 6.949
7.051 6.954 0.000
Na O C P Ni
10 32 8 2 4
Direct
0.085 0.094 0.652
0.348 0.331 0.915
0.669 0.093 0.654
0.906 0.915 0.331
0.084 0.654 0.093
0.346 0.916 0.331
0.907 0.331 0.916
0.339 0.911 0.911
0.669 0.652 0.094
0.089 0.661 0.661
0.320 0.059 0.059
0.346 0.860 0.693
0.859 0.694 0.347
0.941 0.680 0.939
0.401 0.653 0.306
0.653 0.400 0.141
0.640 0.311 0.404
0.061 0.059 0.059
0.307 0.399 0.654
0.691 0.603 0.349
0.397 0.309 0.142
0.686 0.935 0.937
0.146 0.404 0.311
0.601 0.693 0.860
0.347 0.599 0.860
0.600 0.347 0.694
0.401 0.142 0.651
0.063 0.058 0.314
0.858 0.349 0.603
0.349 0.693 0.599
0.689 0.360 0.854
0.140 0.306 0.653
0.651 0.142 0.309
0.942 0.937 0.935
0.306 0.141 0.400
0.307 0.651 0.142
0.858 0.599 0.693
0.596 0.854 0.360
0.065 0.314 0.058
0.694 0.860 0.599
0.140 0.654 0.399
0.941 0.939 0.680
0.715 0.717 0.354
0.646 0.286 0.285
0.350 0.717 0.717
0.283 0.650 0.283
0.283 0.285 0.286
0.283 0.283 0.650
0.717 0.717 0.717
0.714 0.354 0.717
0.879 0.871 0.871
0.129 0.121 0.121
0.500 0.001 0.500
0.500 0.500 0.500
0.999 0.500 0.500
0.500 0.500 0.001
```

Record 3
Material: ZnCrGe2O6
Method: DFT, GGA+U
State: relaxed

Values from the calculation:
space group: P2_1/c (14)
calculated volume: 12.27 A^3/atom
spin magnetization: 4.00 μB per formula unit
ΔH_f (0 K): -191.81 kJ/mol of atoms
energy above the most stable polymorph in this dataset: 0.018 eV/atom

```
ZnCrGe2O6
1.0
-4.058 -7.871 2.111
4.943 -2.580 -0.118
3.648 0.624 9.340
Ge O Zn Cr
8 24 4 4
Direct
0.337 0.186 0.058
0.342 0.748 0.454
0.837 0.314 0.942
0.663 0.814 0.942
0.158 0.248 0.454
0.658 0.252 0.546
0.842 0.752 0.546
0.163 0.686 0.058
0.661 0.338 0.365
0.283 0.500 0.381
0.164 0.766 0.876
0.839 0.838 0.365
0.178 0.343 0.109
0.161 0.162 0.635
0.488 0.205 0.628
0.985 0.226 0.855
0.822 0.657 0.891
0.988 0.295 0.372
0.512 0.795 0.372
0.717 0.500 0.619
0.515 0.726 0.855
0.015 0.774 0.145
0.678 0.157 0.891
0.339 0.662 0.635
0.322 0.843 0.109
0.217 0.000 0.381
0.336 0.266 0.876
0.783 0.000 0.619
0.012 0.705 0.628
0.485 0.274 0.145
0.836 0.234 0.124
0.664 0.734 0.124
0.489 0.550 0.244
0.511 0.450 0.756
0.011 0.050 0.244
0.989 0.950 0.756
0.657 0.041 0.247
0.343 0.959 0.753
0.157 0.459 0.753
0.843 0.541 0.247
```